Entry 1:
ErSi2Os2 | PBE | relaxed

Values from the calculation:
* DFT formation energy: -0.718 eV/atom
* space group: I4/mmm

Cell: 5.6248 5.6248 5.6248 Å, 136.35 136.35 63.44°
Atoms (fractional coordinates):
Er: 0.0000 0.0000 0.0000
Si: 0.3722 0.3722 0.0000
Si: 0.6278 0.6278 0.0000
Os: 0.2500 0.7500 0.5000
Os: 0.7500 0.2500 0.5000

=====

Entry 2:
TiTlCuTe3 | PBE | relaxed

Values from the calculation:
* M_tot: 0.00 μB per formula unit
* DFT formation energy: -0.676 eV/atom
* space group: P2_1/m

Cell: 8.7048 3.9803 10.5746 Å, 90.00 113.42 90.00°
Atoms (fractional coordinates):
Ti: 0.2111 0.2500 0.1777
Ti: 0.7889 0.7500 0.8223
Tl: 0.2165 0.7500 0.7164
Tl: 0.7835 0.2500 0.2836
Cu: 0.4203 0.7500 0.3995
Cu: 0.5797 0.2500 0.6005
Te: 0.0439 0.2500 0.8818
Te: 0.2491 0.2500 0.4438
Te: 0.4221 0.7500 0.1543
Te: 0.5779 0.2500 0.8457
Te: 0.7509 0.7500 0.5562
Te: 0.9561 0.7500 0.1182

=====

Entry 3:
Hg2C2N2O | PBE | relaxed

Values from the calculation:
* M_tot: 0.00 μB per formula unit
* DFT formation energy: 0.212 eV/atom
* space group: Pnma

Cell: 19.0947 4.2262 7.1628 Å, 90.00 90.00 90.00°
Atoms (fractional coordinates):
Hg: 0.0216 0.2500 0.1986
Hg: 0.1535 0.7500 0.8662
Hg: 0.3465 0.2500 0.3662
Hg: 0.4784 0.7500 0.6986
Hg: 0.5216 0.2500 0.3014
Hg: 0.6535 0.7500 0.6338
Hg: 0.8465 0.2500 0.1338
Hg: 0.9784 0.7500 0.8014
C: 0.0805 0.2500 0.4358
C: 0.2445 0.7500 0.7178
C: 0.2555 0.2500 0.2178
C: 0.4195 0.7500 0.9358
C: 0.5805 0.2500 0.0642
C: 0.7445 0.7500 0.7822
C: 0.7555 0.2500 0.2822
C: 0.9195 0.7500 0.5642
N: 0.1075 0.2500 0.5824
N: 0.2061 0.2500 0.1215
N: 0.2939 0.7500 0.6215
N: 0.3925 0.7500 0.0824
N: 0.6075 0.2500 0.9176
N: 0.7061 0.2500 0.3785
N: 0.7939 0.7500 0.8785
N: 0.8925 0.7500 0.4176
O: 0.0585 0.7500 0.9990
O: 0.4415 0.2500 0.4990
O: 0.5585 0.7500 0.5010
O: 0.9415 0.2500 0.0010

=====

Entry 4:
NbGa3Ni12 | PBE | relaxed

Values from the calculation:
* DFT formation energy: -0.308 eV/atom
* space group: P4/mmm

Cell: 3.6131 3.6131 14.2298 Å, 90.00 90.00 90.00°
Atoms (fractional coordinates):
Nb: 0.0000 0.0000 0.0000
Ga: 0.0000 0.0000 0.2546
Ga: 0.0000 0.0000 0.5000
Ga: 0.0000 0.0000 0.7454
Ni: 0.0000 0.5000 0.1281
Ni: 0.0000 0.5000 0.3749
Ni: 0.0000 0.5000 0.6251
Ni: 0.0000 0.5000 0.8719
Ni: 0.5000 0.0000 0.1281
Ni: 0.5000 0.0000 0.3749
Ni: 0.5000 0.0000 0.6251
Ni: 0.5000 0.0000 0.8719
Ni: 0.5000 0.5000 0.0000
Ni: 0.5000 0.5000 0.2515
Ni: 0.5000 0.5000 0.5000
Ni: 0.5000 0.5000 0.7485

=====

Entry 5:
Hg | PBE | relaxed

Values from the calculation:
* M_tot: 0.00 μB per formula unit
* DFT formation energy: 0.020 eV/atom
* space group: R-3m
* energy relative to the lowest polymorph listed for this composition: 20 meV/atom

Cell: 3.1619 3.1619 3.1619 Å, 92.56 92.56 92.56°
Atoms (fractional coordinates):
Hg: 0.0000 0.0000 0.0000

=====

Entry 6:
EuGe2Pt2 | PBE | relaxed

Values from the calculation:
* DFT formation energy: -0.838 eV/atom
* space group: P2_1/m

Cell: 4.3995 4.3779 10.2012 Å, 90.00 90.39 90.00°
Atoms (fractional coordinates):
Eu: 0.2477 0.2500 0.2471
Eu: 0.7523 0.7500 0.7529
Ge: 0.2458 0.7500 0.9998
Ge: 0.2613 0.2500 0.6286
Ge: 0.7387 0.7500 0.3714
Ge: 0.7542 0.2500 0.0002
Pt: 0.2370 0.7500 0.4992
Pt: 0.2524 0.2500 0.8729
Pt: 0.7476 0.7500 0.1271
Pt: 0.7630 0.2500 0.5008